## Cs2H4Pd (PBE-GGA)

Data for an optimized crystal structure of Cs2H4Pd.

E_form = -0.27 eV/atom
Total magnetization = 0.000 Bohr magnetons per cell
Calculated total energy = -3.21 eV/atom

abc: 6.2729 6.2729 8.9767
angles: 90.00 90.00 90.00
Closest atoms and distances in Å follow each position.
Positions (direct):
H1 0.6875 0.3125 0.5000  1 Pd 1.66
H2 0.1875 0.1875 0.0000  1 Pd 1.66
H3 0.5000 0.5000 0.6854  1 Pd 1.66
H4 0.3125 0.6875 0.5000  1 Pd 1.66
H5 0.5000 0.5000 0.3146  1 Pd 1.66
H6 0.0000 0.0000 0.1854  1 Pd 1.66
H7 0.8125 0.8125 0.0000  1 Pd 1.66
H8 0.0000 0.0000 0.8146  1 Pd 1.66
Pd1 0.0000 0.0000 0.0000  4 H 1.66
Pd2 0.5000 0.5000 0.5000  4 H 1.66
Cs1 0.5000 0.0000 0.7500  8 H 3.19-3.20
Cs2 0.0000 0.5000 0.2500  8 H 3.19-3.20
Cs3 0.0000 0.5000 0.7500  8 H 3.19-3.20
Cs4 0.5000 0.0000 0.2500  8 H 3.19-3.20

=====

## Cs2H6Pt (PBE-GGA)

Data for an optimized crystal structure of Cs2H6Pt.

E_form = -0.38 eV/atom
Calculated total energy = -3.51 eV/atom

abc: 6.4131 6.4131 6.4131
angles: 60.00 60.00 60.00
Closest atoms and distances in Å follow each position.
Positions (direct):
Pt1 0.0000 0.0000 0.0000  6 H 1.66
H1 0.1831 0.1831 0.8169  1 Pt 1.66
H2 0.1831 0.8169 0.1831  1 Pt 1.66
H3 0.1831 0.8169 0.8169  1 Pt 1.66
H4 0.8169 0.8169 0.1831  1 Pt 1.66
H5 0.8169 0.1831 0.8169  1 Pt 1.66
H6 0.8169 0.1831 0.1831  1 Pt 1.66
Cs1 0.7500 0.7500 0.7500  12 H 3.26
Cs2 0.2500 0.2500 0.2500  12 H 3.26

=====

## Cs3H5Pt (PBE-GGA)

Data for an optimized crystal structure of Cs3H5Pt.

E_form = -0.32 eV/atom
Calculated total energy = -3.18 eV/atom

abc: 8.3982 8.3982 6.2066
angles: 90.00 90.00 90.00
Closest atoms and distances in Å follow each position.
Positions (direct):
H1 0.4013 0.9013 0.8101  1 Pt 1.66
H2 0.4013 0.9013 0.1899  1 Pt 1.66
H3 0.0987 0.4013 0.8101  1 Pt 1.66
H4 0.5987 0.0987 0.1899  1 Pt 1.66
H5 0.9013 0.5987 0.1899  1 Pt 1.66
H6 0.5000 0.5000 0.5000  6 Cs 3.06-3.10
H7 0.5987 0.0987 0.8101  1 Pt 1.66
H8 0.9013 0.5987 0.8101  1 Pt 1.66
H9 0.0987 0.4013 0.1899  1 Pt 1.66
H10 0.0000 0.0000 0.5000  6 Cs 3.06-3.10
Pt1 0.5000 0.0000 0.0000  4 H 1.66
Pt2 0.0000 0.5000 0.0000  4 H 1.66
Cs1 0.1865 0.6865 0.5000  8 H 3.06-3.20
Cs2 0.6865 0.8135 0.5000  8 H 3.06-3.20
Cs3 0.0000 0.0000 0.0000  2 H 3.10
Cs4 0.5000 0.5000 0.0000  2 H 3.10
Cs5 0.3135 0.1865 0.5000  8 H 3.06-3.20
Cs6 0.8135 0.3135 0.5000  8 H 3.06-3.20

=====

## CsHS (PBE-GGA)

Data for an optimized crystal structure of CsHS.

E_form = -0.93 eV/atom
Calculated total energy = -3.57 eV/atom

abc: 7.5525 7.5525 7.5525
angles: 112.16 112.16 104.23
Closest atoms and distances in Å follow each position.
Positions (direct):
Cs1 0.7500 0.2500 0.5000  4 H 3.24
Cs2 0.7354 0.7354 0.0000  4 H 3.30
Cs3 0.2500 0.7500 0.5000  4 H 3.24
Cs4 0.2646 0.2646 0.0000  4 H 3.30
H1 0.0885 0.2463 0.3348  1 S 1.36
H2 0.2463 0.9115 0.1578  1 S 1.36
H3 0.7537 0.0885 0.8422  1 S 1.36
H4 0.9115 0.7537 0.6652  1 S 1.36
S1 0.7496 0.7557 0.5053  1 H 1.36
S2 0.7557 0.2504 0.0061  1 H 1.36
S3 0.2504 0.2443 0.4947  1 H 1.36
S4 0.2443 0.7496 0.9939  1 H 1.36

=====

## Cs2TmH4 (PBE-GGA)

Data for an optimized crystal structure of Cs2TmH4.

E_form = -0.30 eV/atom
Total magnetization = 0.013 Bohr magnetons per cell
Calculated total energy = -3.03 eV/atom

abc: 8.6475 8.6475 8.6475
angles: 150.47 150.47 42.26
Closest atoms and distances in Å follow each position.
Positions (direct):
Tm1 0.0000 0.0000 0.0000  6 H 2.18-2.20
H1 0.5000 0.0000 0.5000  2 Tm 2.20
H2 0.1354 0.1354 0.0000  1 Tm 2.18
H3 0.8646 0.8646 0.0000  1 Tm 2.18
H4 0.0000 0.5000 0.5000  2 Tm 2.20
Cs1 0.6537 0.6537 0.0000  9 H 3.13-3.40
Cs2 0.3463 0.3463 0.0000  9 H 3.13-3.40

=====

## CsHfMg14 (PBE-GGA)

Data for an optimized crystal structure of CsHfMg14.

E_form = 0.21 eV/atom
Total magnetization = 0.002 Bohr magnetons per cell
Calculated total energy = -1.86 eV/atom
Energy above the most stable polymorph in this dataset = 0 meV per atom

abc: 6.6381 6.6381 10.4640
angles: 90.00 90.00 120.00
Closest atoms and distances in Å follow each position.
Positions (direct):
Mg1 0.3379 0.1621 0.8571  10 Mg 3.08-3.41, 1 Hf 3.13, 1 Cs 3.43
Mg2 0.8241 0.1621 0.8571  10 Mg 3.08-3.41, 1 Hf 3.13, 1 Cs 3.43
Mg3 0.8333 0.6667 0.3718  12 Mg 3.24-3.33
Mg4 0.3379 0.6759 0.3929  10 Mg 3.08-3.41, 1 Hf 3.13, 1 Cs 3.43
Mg5 0.8333 0.6667 0.8782  12 Mg 3.24-3.33
Mg6 0.1743 0.8371 0.1250  10 Mg 3.24-3.39, 2 Cs 3.32
Mg7 0.6675 0.8325 0.6250  10 Mg 3.08-3.34, 2 Hf 3.32
Mg8 0.6675 0.3351 0.6250  10 Mg 3.08-3.34, 2 Hf 3.32
Mg9 0.3379 0.6759 0.8571  10 Mg 3.08-3.41, 1 Hf 3.13, 1 Cs 3.43
Mg10 0.6629 0.3257 0.1250  10 Mg 3.24-3.39, 2 Cs 3.32
Mg11 0.8241 0.1621 0.3929  10 Mg 3.08-3.41, 1 Hf 3.13, 1 Cs 3.43
Mg12 0.6629 0.8371 0.1250  10 Mg 3.24-3.39, 2 Cs 3.32
Mg13 0.1649 0.8325 0.6250  10 Mg 3.08-3.34, 2 Hf 3.32
Mg14 0.3379 0.1621 0.3929  10 Mg 3.08-3.41, 1 Hf 3.13, 1 Cs 3.43
Cs1 0.1667 0.3333 0.1250  12 Mg 3.32-3.43
Hf1 0.1667 0.3333 0.6250  12 Mg 3.13-3.32